1.
Entry from the Materials Project: an optimized crystal structure of Mg2Ta2CoO8 (PBE with a Hubbard U).

The structure in extended XYZ format:
```
52
Lattice="5.2063 -0.0001 -0.0263 -0.0188 11.4852 -3.5251 0.0006 -0.0702 10.0022" Properties=species:S:1:pos:R:3 pbc="T T T"
Mg 1.2635 9.0668 1.7520
Mg 3.8638 10.7118 1.2373
Mg 3.9240 8.0955 2.9442
Mg 3.8730 4.9694 3.0000
Mg 3.9336 2.3533 4.7069
Mg 1.3240 6.4510 3.4608
Mg 1.3332 0.7088 5.2235
Mg 1.2731 3.3247 3.5148
Ta 3.9400 5.9693 5.8287
Ta 1.3297 9.8320 4.6541
Ta 3.8586 7.3314 0.0414
Ta 3.9491 0.2267 7.5908
Ta 1.3397 4.0893 6.4174
Ta 3.8684 1.5892 1.8042
Ta 1.2493 11.1954 -1.1308
Ta 1.2583 5.4520 0.6312
Co 3.8944 9.4410 -2.9118
Co 1.3041 2.0510 -0.6313
Co 1.2944 7.7972 -2.3954
Co 3.9041 3.6958 -1.1480
O 4.5768 3.1058 2.8416
O 3.2265 6.6398 4.1193
O 4.5671 8.8487 1.0793
O 2.1508 3.2105 7.8307
O 4.9645 6.1947 1.7925
O 3.0481 8.2107 -1.3720
O 4.7961 4.6343 7.1220
O 2.3687 1.6361 3.2047
O 0.4432 9.6725 -1.8049
O 3.2355 0.8969 5.8817
O 0.2329 5.2261 4.6673
O 0.6207 8.3150 3.6178
O 4.7470 7.4933 6.5034
O 3.0592 2.4697 0.3916
O 4.7560 1.7496 8.2636
O 0.6304 2.5720 5.3800
O 2.1397 8.9527 6.0672
O 1.9710 4.7812 2.3406
O 2.1908 5.9225 6.7384
O 0.2236 10.9683 2.9045
O 2.9982 11.2406 -2.0425
O 2.8289 9.7848 3.2542
O 0.4118 1.0459 1.0998
O 0.4521 3.9280 -0.0439
O 0.4021 6.7870 -0.6621
O 1.9621 10.5241 0.5779
O 4.9740 0.4525 3.5552
O 3.0072 5.4985 -0.2794
O 2.1998 0.1812 8.5016
O 4.7862 10.3760 5.3596
O 2.3591 7.3789 1.4423
O 2.8387 4.0419 5.0165
```

- ΔE_f (eV/atom) = -2.967
- spin magnetization (Bohr magnetons per cell) = 0.00
- total energy after the MP2020 corrections (eV for the cell shown) = -448.7
- VASP energy (eV per cell) = -420.17



2.
Entry from the Materials Project: an optimized crystal structure of CoF3 (PBE with a Hubbard U).

The structure in extended XYZ format:
```
8
Lattice="4.3559 -2.5331 0.0000 4.3559 2.5331 0.0000 -2.9634 0.0000 4.4725" Properties=species:S:1:pos:R:3 pbc="T T T"
Co 2.1779 1.2666 0.0000
Co 0.6962 -1.2666 2.2363
F 3.6150 1.9545 1.1181
F 0.4526 0.2858 3.4719
F 1.9343 -0.2858 1.2357
F 3.8140 0.2858 3.2369
F 5.2957 -0.2858 1.0006
F 2.1333 -1.9545 3.3544
```

- ΔE_f (eV/atom) = -2.026
- spin magnetization (Bohr magnetons per cell) = 4.00
- total energy after the MP2020 corrections (eV for the cell shown) = -41.9
- SG = C2/c, No. 15
- VASP energy (eV per cell) = -35.87



3.
Entry from the Materials Project: an optimized crystal structure of Li7V4P6O24 (PBE with a Hubbard U).

The structure in extended XYZ format:
```
41
Lattice="8.7268 0.0000 0.0000 4.2719 7.6420 0.0000 4.2781 2.4782 7.2316" Properties=species:S:1:pos:R:3 pbc="T T T"
Li 0.0000 0.0000 0.0000
Li 6.0038 5.2982 6.4072
Li 8.3137 7.5448 4.4050
Li 6.3919 2.1857 2.4868
Li 8.1309 4.9763 1.6609
Li 11.4493 6.0291 5.9532
Li 9.6778 1.4400 2.9011
V 5.8876 6.1212 3.4242
V 10.8106 8.9967 5.4719
V 10.1855 3.4933 7.0074
V 10.9754 3.9910 1.8872
P 4.0393 3.5108 4.7780
P 2.8130 0.7164 1.1504
P 5.3420 4.2922 0.5002
P 8.4056 3.9633 4.1170
P 11.4496 7.2952 2.6298
P 13.9692 7.8363 6.2709
O 11.9793 3.3245 3.4893
O 6.1743 7.0859 5.2822
O 2.0415 2.0881 1.0746
O 5.1221 4.6058 4.6769
O 3.8356 4.1734 0.7240
O 4.6186 2.1206 5.1948
O 6.8616 7.8219 2.5898
O 6.3807 7.5053 0.0626
O 6.0596 5.1319 1.5768
O 9.8466 7.3151 6.2895
O 7.8290 5.3432 3.6937
O 4.3169 0.8454 0.9297
O 7.3240 2.8584 4.2447
O 6.1020 2.9154 0.5595
O 10.5133 8.0489 3.6294
O 9.2037 4.1547 5.4004
O 12.4858 7.8584 5.8126
O 9.2507 3.4676 2.8775
O 7.2124 0.5299 1.3252
O 10.8800 5.8972 2.4097
O 14.5418 9.2289 6.5073
O 9.6416 4.4835 0.3447
O 11.9152 3.9826 6.0205
O 12.9195 7.2939 3.0890
```

- ΔE_f (eV/atom) = -2.661
- spin magnetization (Bohr magnetons per cell) = 3.67
- total energy after the MP2020 corrections (eV for the cell shown) = -310.0
- E above lowest polymorph (meV/atom) = 39
- SG = P1, No. 1
- VASP energy (eV per cell) = -286.73